The following is a PBE with a Hubbard U calculation of a geometry-optimized Li2CoAgF6 structure, from the Materials Project database.

Cell lengths 5.8584, 5.8584, 5.8584 Å; angles 60.00, 60.00, 60.00 degrees
Positions (direct):
Ag (0.5000, 0.5000, 0.5000)
F (0.2255, 0.7745, 0.7745)
Co (0.0000, 0.0000, 0.0000)
Li (0.7500, 0.7500, 0.7500)
F (0.7745, 0.2255, 0.7745)
F (0.7745, 0.7745, 0.2255)
F (0.2255, 0.2255, 0.7745)
Li (0.2500, 0.2500, 0.2500)
F (0.2255, 0.7745, 0.2255)
F (0.7745, 0.2255, 0.2255)

Computed properties:
Size of the total moment (μB per atom): 0.000
Symmetry: Fm-3m, No. 225
Raw total energy (eV/atom): -4.171
Mass density (Mg/m³): 3.442